No. 1
Material: Ho2In
Method: DFT, r²SCAN
State: optimized geometry

* calculated volume: 27.5 Å³ per atom
* ΔE_f: -0.474 eV per atom

abc: 5.3352 5.3352 6.6861
angles: 90.00 90.00 120.00
With the nearest neighbours (Å) after each atom.
Sites, in units of the cell vectors:
1 Ho 0.0000 0.0000 0.0000  8 Ho 3.34-3.50, 6 In 3.50
2 Ho 0.0000 0.0000 0.5000  8 Ho 3.34-3.50, 6 In 3.50
3 Ho 0.6667 0.3333 0.2500  5 In 3.08-3.34
4 Ho 0.3333 0.6667 0.7500  5 In 3.08-3.34
5 In 0.3333 0.6667 0.2500  5 Ho 3.08-3.34
6 In 0.6667 0.3333 0.7500  5 Ho 3.08-3.34

No. 2
Material: InH12S3N3O12
Method: DFT, r²SCAN
State: optimized geometry

* calculated volume: 9.7 Å³ per atom
* ΔE_f: -1.108 eV per atom

abc: 15.6108 8.9631 9.1274
angles: 70.90 90.00 90.00
With the nearest neighbours (Å) after each atom.
Sites, in units of the cell vectors:
1 O 0.2131 0.3127 0.7099  1 S 1.46
2 O 0.8540 0.3479 0.8482  1 S 1.49
3 O 0.8294 0.1196 0.6674  1 S 1.49
4 O 0.5860 0.5757 0.9351  1 S 1.46
5 O 0.4280 0.8843 0.0327  1 S 1.46
6 O 0.6655 0.4225 0.8144  1 S 1.49
7 O 0.5720 0.1157 0.9673  1 S 1.46
8 O 0.3553 0.1232 0.8817  1 S 1.45
9 O 0.0113 0.6700 0.0229  1 S 1.46
10 O 0.9887 0.3300 0.9771  1 S 1.46
11 O 0.5761 0.0929 0.4547  1 S 1.46
12 O 0.7236 0.0812 0.9319  1 S 1.50
13 O 0.0761 0.9071 0.0453  1 S 1.46
14 O 0.0860 0.4243 0.5649  1 S 1.46
15 O 0.2722 0.5161 0.9670  1 S 1.49
16 O 0.3345 0.5775 0.1856  1 S 1.49
17 O 0.2278 0.5161 0.4670  1 S 1.49
18 O 0.7764 0.0812 0.4319  1 S 1.50
19 O 0.3294 0.8804 0.8326  1 S 1.49
20 O 0.1706 0.8804 0.3326  1 S 1.49
21 O 0.6362 0.2148 0.6275  1 S 1.50
22 O 0.6447 0.8768 0.1183  1 S 1.45
23 O 0.1655 0.5775 0.6856  1 S 1.49
24 O 0.4887 0.6700 0.5229  1 S 1.46
25 O 0.2869 0.3127 0.2099  1 S 1.46
26 O 0.1447 0.1232 0.3817  1 S 1.45
27 O 0.9239 0.0929 0.9547  1 S 1.46
28 O 0.4239 0.9071 0.5453  1 S 1.46
29 O 0.7869 0.6873 0.2901  1 S 1.46
30 O 0.8345 0.4225 0.3144  1 S 1.49
31 O 0.5113 0.3300 0.4771  1 S 1.46
32 O 0.8553 0.8768 0.6183  1 S 1.45
33 O 0.6460 0.3479 0.3482  1 S 1.49
34 O 0.8638 0.2148 0.1275  1 S 1.50
35 O 0.4140 0.4243 0.0649  1 S 1.46
36 O 0.7131 0.6873 0.7901  1 S 1.46
37 O 0.0720 0.8843 0.5327  1 S 1.46
38 O 0.2236 0.9188 0.5681  1 S 1.50
39 O 0.7722 0.4839 0.5330  1 S 1.49
40 O 0.1460 0.6521 0.1518  1 S 1.49
41 O 0.3638 0.7852 0.3725  1 S 1.50
42 O 0.2764 0.9188 0.0681  1 S 1.50
43 O 0.3540 0.6521 0.6518  1 S 1.49
44 O 0.7278 0.4839 0.0330  1 S 1.49
45 O 0.1362 0.7852 0.8725  1 S 1.50
46 O 0.6706 0.1196 0.1674  1 S 1.49
47 O 0.9280 0.1157 0.4673  1 S 1.46
48 O 0.9140 0.5757 0.4351  1 S 1.46
49 H 0.0402 0.4298 0.3728  1 N 1.03
50 H 0.5402 0.5702 0.1272  1 N 1.03
51 H 0.9128 0.9857 0.2519  1 N 1.02
52 H 0.5068 0.9144 0.8777  1 N 1.03
53 H 0.4302 0.2936 0.7969  1 N 1.03
54 H 0.0872 0.0143 0.7481  1 N 1.02
55 H 0.9932 0.9144 0.3777  1 N 1.03
56 H 0.3947 0.2489 0.5191  1 N 1.03
57 H 0.0698 0.2936 0.2969  1 N 1.03
58 H 0.9314 0.7886 0.3272  1 N 1.03
59 H 0.5337 0.3229 0.8207  1 N 1.03
60 H 0.4663 0.6771 0.1793  1 N 1.03
61 H 0.5872 0.9857 0.7519  1 N 1.02
62 H 0.6053 0.7511 0.4809  1 N 1.03
63 H 0.0208 0.4626 0.1833  1 N 1.03
64 H 0.4932 0.0856 0.1223  1 N 1.03
65 H 0.6610 0.9190 0.4385  1 N 1.03
66 H 0.5011 0.9067 0.6948  1 N 1.04
67 H 0.9989 0.9067 0.1948  1 N 1.04
68 H 0.4989 0.0933 0.3052  1 N 1.04
69 H 0.9663 0.3229 0.3207  1 N 1.03
70 H 0.8049 0.7576 0.0790  1 N 1.03
71 H 0.7979 0.7672 0.8915  1 N 1.03
72 H 0.4792 0.4626 0.6833  1 N 1.03
73 H 0.1053 0.2489 0.0191  1 N 1.03
74 H 0.7021 0.7672 0.3915  1 N 1.03
75 H 0.2021 0.2328 0.1085  1 N 1.03
76 H 0.8947 0.7511 0.9809  1 N 1.03
77 H 0.3390 0.0810 0.5615  1 N 1.03
78 H 0.4128 0.0143 0.2481  1 N 1.02
79 H 0.8390 0.9190 0.9385  1 N 1.03
80 H 0.9792 0.5374 0.8167  1 N 1.03
81 H 0.3049 0.2424 0.4210  1 N 1.03
82 H 0.9302 0.7064 0.7031  1 N 1.03
83 H 0.6951 0.7576 0.5790  1 N 1.03
84 H 0.0068 0.0856 0.6223  1 N 1.03
85 H 0.5208 0.5374 0.3167  1 N 1.03
86 H 0.5698 0.7064 0.2031  1 N 1.03
87 H 0.1610 0.0810 0.0615  1 N 1.03
88 H 0.5686 0.7886 0.8272  1 N 1.03
89 H 0.1951 0.2424 0.9210  1 N 1.03
90 H 0.0011 0.0933 0.8052  1 N 1.04
91 H 0.0686 0.2114 0.6728  1 N 1.03
92 H 0.9598 0.5702 0.6272  1 N 1.03
93 H 0.4314 0.2114 0.1728  1 N 1.03
94 H 0.0337 0.6771 0.6793  1 N 1.03
95 H 0.2979 0.2328 0.6085  1 N 1.03
96 H 0.4598 0.4298 0.8728  1 N 1.03
97 S 0.5911 0.2450 0.4756  4 O 1.46-1.50
98 S 0.8273 0.5442 0.3927  4 O 1.46-1.49
99 S 0.1510 0.9535 0.4543  4 O 1.45-1.50
100 S 0.6510 0.0465 0.0457  4 O 1.45-1.50
101 S 0.9089 0.2450 0.9756  4 O 1.46-1.50
102 S 0.4089 0.7550 0.5244  4 O 1.46-1.50
103 S 0.3490 0.9535 0.9543  4 O 1.45-1.50
104 S 0.0911 0.7550 0.0244  4 O 1.46-1.50
105 S 0.3273 0.4558 0.1073  4 O 1.46-1.49
106 S 0.8490 0.0465 0.5457  4 O 1.45-1.50
107 S 0.6727 0.5442 0.8927  4 O 1.46-1.49
108 S 0.1727 0.4558 0.6073  4 O 1.46-1.49
109 N 0.8341 0.7985 0.9715  4 H 1.03
110 N 0.9585 0.8996 0.2869  4 H 1.02-1.04
111 N 0.6659 0.7985 0.4715  4 H 1.03
112 N 0.5415 0.8996 0.7869  4 H 1.02-1.04
113 N 0.3341 0.2015 0.5285  4 H 1.03
114 N 0.1659 0.2015 0.0285  4 H 1.03
115 N 0.9757 0.6217 0.7091  4 H 1.03
116 N 0.4757 0.3783 0.7909  4 H 1.03
117 N 0.4585 0.1004 0.2131  4 H 1.02-1.04
118 N 0.5243 0.6217 0.2091  4 H 1.03
119 N 0.0415 0.1004 0.7131  4 H 1.02-1.04
120 N 0.0243 0.3783 0.2909  4 H 1.03
121 In 0.7490 0.2805 0.7286  6 O 2.12-2.16
122 In 0.2510 0.7195 0.2714  6 O 2.12-2.16
123 In 0.7510 0.2805 0.2286  6 O 2.12-2.16
124 In 0.2490 0.7195 0.7714  6 O 2.12-2.16

No. 3
Material: LuFe2B2
Method: DFT, r²SCAN
State: optimized geometry

* calculated volume: 11.0 Å³ per atom
* ΔE_f: -0.430 eV per atom

abc: 3.4385 3.4385 5.2491
angles: 109.12 109.12 90.00
With the nearest neighbours (Å) after each atom.
Sites, in units of the cell vectors:
1 B 0.3937 0.3937 0.7874  1 B 1.98, 4 Fe 2.18
2 B 0.6063 0.6063 0.2126  1 B 1.98, 4 Fe 2.18
3 Fe 0.7500 0.2500 0.5000  4 B 2.18, 4 Fe 2.43
4 Fe 0.2500 0.7500 0.5000  4 B 2.18, 4 Fe 2.43
5 Lu 0.0000 0.0000 0.0000  8 B 2.62, 8 Fe 2.89

No. 4
Material: Ca3SbI3
Method: DFT, r²SCAN
State: optimized geometry

* calculated volume: 37.5 Å³ per atom
* ΔE_f: -1.664 eV per atom

abc: 11.0936 11.0935 11.0935
angles: 109.47 109.47 109.47
With the nearest neighbours (Å) after each atom.
Sites, in units of the cell vectors:
1 I 0.9968 0.7484 0.9984  4 Ca 3.23-3.31
2 I 0.7484 0.9984 0.9968  4 Ca 3.23-3.31
3 I 0.2500 0.9984 0.5015  4 Ca 3.23-3.31
4 I 0.2500 0.7515 0.7484  4 Ca 3.23-3.31
5 I 0.9984 0.5016 0.2500  4 Ca 3.23-3.31
6 I 0.7516 0.5032 0.5016  4 Ca 3.23-3.31
7 I 0.7516 0.7485 0.2500  4 Ca 3.23-3.31
8 I 0.5032 0.5016 0.7516  4 Ca 3.23-3.31
9 I 0.9984 0.9968 0.7484  4 Ca 3.23-3.31
10 I 0.7484 0.2500 0.7516  4 Ca 3.23-3.31
11 I 0.5016 0.2500 0.9985  4 Ca 3.23-3.31
12 I 0.5016 0.7516 0.5032  4 Ca 3.23-3.31
13 Ca 0.7500 0.0085 0.4915  2 Sb 3.10, 4 I 3.23-3.31
14 Ca 0.4915 0.2415 0.4830  2 Sb 3.10, 4 I 3.23-3.31
15 Ca 0.0085 0.0170 0.2585  2 Sb 3.10, 4 I 3.23-3.31
16 Ca 0.4830 0.4915 0.2415  2 Sb 3.10, 4 I 3.23-3.31
17 Ca 0.2585 0.7500 0.2415  2 Sb 3.10, 4 I 3.23-3.31
18 Ca 0.4915 0.7500 0.0085  2 Sb 3.10, 4 I 3.23-3.31
19 Ca 0.0170 0.2585 0.0085  2 Sb 3.10, 4 I 3.23-3.31
20 Ca 0.7500 0.2415 0.2585  2 Sb 3.10, 4 I 3.23-3.31
21 Ca 0.2415 0.2585 0.7500  2 Sb 3.10, 4 I 3.23-3.31
22 Ca 0.2585 0.0085 0.0170  2 Sb 3.10, 4 I 3.23-3.31
23 Ca 0.2415 0.4830 0.4915  2 Sb 3.10, 4 I 3.23-3.31
24 Ca 0.0085 0.4915 0.7500  2 Sb 3.10, 4 I 3.23-3.31
25 Sb 0.0000 0.2500 0.5000  6 Ca 3.10
26 Sb 0.2500 0.5000 0.0000  6 Ca 3.10
27 Sb 0.2500 0.2500 0.2500  6 Ca 3.10
28 Sb 0.5000 0.0000 0.2500  6 Ca 3.10

No. 5
Material: KTi6Se8
Method: DFT, r²SCAN
State: optimized geometry

* calculated volume: 20.7 Å³ per atom
* ΔE_f: -1.388 eV per atom

abc: 9.8700 9.9223 3.6684
angles: 89.97 90.00 120.29
With the nearest neighbours (Å) after each atom.
Sites, in units of the cell vectors:
1 Ti 0.6388 0.5107 0.7488  6 Se 2.56-2.68
2 Ti 0.4912 0.1279 0.7489  6 Se 2.55-2.71
3 Ti 0.3612 0.4893 0.2512  6 Se 2.56-2.68
4 Ti 0.1280 0.6371 0.2511  6 Se 2.56-2.71
5 Ti 0.5088 0.8721 0.2511  6 Se 2.55-2.71
6 Ti 0.8720 0.3629 0.7489  6 Se 2.56-2.71
7 Se 0.3007 0.9526 0.2477  4 Ti 2.55-2.71
8 Se 0.6669 0.3332 0.2492  6 Ti 2.63-2.65
9 Se 0.0468 0.3477 0.2477  4 Ti 2.56-2.68
10 Se 0.9532 0.6523 0.7523  4 Ti 2.56-2.68
11 Se 0.3331 0.6668 0.7508  6 Ti 2.63-2.65
12 Se 0.6518 0.6998 0.2472  4 Ti 2.56-2.71
13 Se 0.6993 0.0474 0.7523  4 Ti 2.55-2.71
14 Se 0.3482 0.3002 0.7528  4 Ti 2.56-2.71
15 K 0.0000 0.0000 0.5000  6 Se 3.35-3.37, 2 K 3.67